(1)
DFT (meta-GGA r2SCAN) results for crystalline Ta2VRe at its relaxed geometry.

Lattice parameters (Å, degrees): 4.497 4.497 4.497 60.00 60.00 60.00
Atoms (fractional coordinates):
Ta1 0.250 0.250 0.250
Ta2 0.750 0.750 0.750
V1 0.000 0.000 0.000
Re1 0.500 0.500 0.500

Summary:
Formation energy, meV/atom: -308.7
Spin magnetization, Bohr magnetons per cell: 1.0
SG: Fm-3m (225)
Uncorrected energy, eV/f.u.: -164.9

***

(2)
DFT (meta-GGA r2SCAN) results for crystalline TbRe2 at its relaxed geometry.

Lattice parameters (Å, degrees): 5.417 5.417 8.827 90.00 90.00 120.00
Atoms (fractional coordinates):
Tb1 0.667 0.333 0.562
Tb2 0.333 0.667 0.438
Tb3 0.333 0.667 0.062
Tb4 0.667 0.333 0.938
Re1 0.000 0.000 0.500
Re2 0.000 0.000 0.000
Re3 0.171 0.342 0.750
Re4 0.171 0.829 0.750
Re5 0.658 0.829 0.750
Re6 0.829 0.658 0.250
Re7 0.829 0.171 0.250
Re8 0.342 0.171 0.250

Summary:
Formation energy, meV/atom: -250.7
Spin magnetization, Bohr magnetons per cell: 0.0
SG: P6_3/mmc (194)
Uncorrected energy, eV/f.u.: -136.8

***

(3)
DFT (meta-GGA r2SCAN) results for crystalline ReTc at its relaxed geometry.

Lattice parameters (Å, degrees): 2.749 2.749 4.440 90.00 90.00 120.00
Atoms (fractional coordinates):
Re1 0.667 0.333 0.750
Tc1 0.333 0.667 0.250

Summary:
Formation energy, meV/atom: -7.0
Spin magnetization, Bohr magnetons per cell: 0.0
SG: P-6m2 (187)
Uncorrected energy, eV/f.u.: -78.4

***

(4)
DFT (meta-GGA r2SCAN) results for crystalline Re3Tc at its relaxed geometry.

Lattice parameters (Å, degrees): 5.514 5.514 4.459 90.00 90.00 120.00
Atoms (fractional coordinates):
Re1 0.167 0.333 0.250
Re2 0.667 0.833 0.250
Re3 0.167 0.833 0.250
Re4 0.833 0.667 0.750
Re5 0.333 0.167 0.750
Re6 0.833 0.167 0.750
Tc1 0.333 0.667 0.750
Tc2 0.667 0.333 0.250

Summary:
Formation energy, meV/atom: 1.7
Spin magnetization, Bohr magnetons per cell: 0.0
SG: P6_3/mmc (194)
Uncorrected energy, eV/f.u.: -183.2

***

(5)
DFT (meta-GGA r2SCAN) results for crystalline TiReTc2 at its relaxed geometry.

Lattice parameters (Å, degrees): 4.362 4.362 4.362 60.00 60.00 60.00
Atoms (fractional coordinates):
Ti1 0.750 0.750 0.750
Re1 0.250 0.250 0.250
Tc1 0.500 0.500 0.500
Tc2 0.000 0.000 0.000

Summary:
Formation energy, meV/atom: -322.7
Spin magnetization, Bohr magnetons per cell: 0.0
SG: Fm-3m (225)
Uncorrected energy, eV/f.u.: -118.6

***

(6)
DFT (meta-GGA r2SCAN) results for crystalline Ti5Re24 at its relaxed geometry.

Lattice parameters (Å, degrees): 8.328 8.328 8.328 109.47 109.47 109.47
Atoms (fractional coordinates):
Ti1 0.000 0.000 0.000
Ti2 0.632 0.632 0.632
Ti3 0.368 0.000 0.000
Ti4 0.000 0.368 0.000
Ti5 0.000 0.000 0.368
Re1 0.400 0.400 0.718
Re2 0.600 0.318 0.000
Re3 0.318 0.600 0.000
Re4 0.000 0.318 0.600
Re5 0.282 0.682 0.682
Re6 0.682 0.282 0.682
Re7 0.318 0.000 0.600
Re8 0.600 0.000 0.318
Re9 0.000 0.600 0.318
Re10 0.718 0.400 0.400
Re11 0.400 0.718 0.400
Re12 0.682 0.682 0.282
Re13 0.375 0.375 0.183
Re14 0.625 0.807 0.000
Re15 0.807 0.625 0.000
Re16 0.000 0.807 0.625
Re17 0.817 0.193 0.193
Re18 0.193 0.817 0.193
Re19 0.807 0.000 0.625
Re20 0.625 0.000 0.807
Re21 0.000 0.625 0.807
Re22 0.183 0.375 0.375
Re23 0.375 0.183 0.375
Re24 0.193 0.193 0.817

Summary:
Formation energy, meV/atom: -262.1
Spin magnetization, Bohr magnetons per cell: 0.0
SG: I-43m (217)
Uncorrected energy, eV/f.u.: -1330.1

***

Among the records above, which one has the lowest formation energy?
TiReTc2

***

formation energy of number 6 (Ti5Re24)?
-262.1 meV/atom